Material: Dy6Ga21Co7
Method: DFT, PBE
State: optimized geometry

It has space group P4/mbm (No. 127), with a = 16.6378 Å, b = 16.6378 Å, c = 4.1446 Å, α = 90.00°, β = 90.00° and γ = 90.00°. The inequivalent atoms are Dy at (0.0869, 0.1575, 0.0000), Dy at (0.1080, 0.6080, 0.5000), Ga at (0.0000, 0.5000, 0.0000), Ga at (0.0319, 0.8890, 0.5000), Ga at (0.0435, 0.2723, 0.5000), Ga at (0.0738, 0.4262, 0.5000), Ga at (0.0748, 0.7426, 0.0000), Ga at (0.1793, 0.7902, 0.5000), Ga at (0.1797, 0.3203, 0.0000), Co at (0.0000, 0.0000, 0.0000), Co at (0.0364, 0.3513, 0.0000) and Co at (0.2185, 0.7185, 0.0000).

As for the total energy: -4.6310 eV/atom. The crystal system is tetragonal.


Material: Dy6GaCo2
Method: DFT, PBE
State: optimized geometry

It has space group Immm (No. 71), with a = 9.2750 Å, b = 9.5443 Å, c = 9.9306 Å, α = 90.00°, β = 90.00° and γ = 90.00°. The inequivalent atoms are Dy at (0.0000, 0.1998, 0.2328), Dy at (0.1928, 0.5000, 0.1784), Dy at (0.2175, 0.3170, 0.5000), Ga at (0.0000, 0.0000, 0.0000), Ga at (0.0000, 0.0000, 0.5000), Co at (0.0000, 0.3647, 0.0000) and Co at (0.0000, 0.5000, 0.3870).

As for the total energy: -5.2683 eV/atom. The crystal system is orthorhombic.


Material: Dy2GaCo2
Method: DFT, PBE
State: optimized geometry

It has space group Immm (No. 71), with a = 4.0742 Å, b = 5.4344 Å, c = 8.3745 Å, α = 90.00°, β = 90.00° and γ = 90.00°. The inequivalent atoms are Dy at (0.0000, 0.0000, 0.2064), Ga at (0.0000, 0.5000, 0.0000) and Co at (0.0000, 0.2860, 0.5000).

As for the total energy: -5.7033 eV/atom. The crystal system is orthorhombic.


Question: Which of these has the lowest total energy?
Answer: Dy2GaCo2


Question: Among the records above, which one has the lowest total energy?
Answer: Dy2GaCo2


Question: The lowest total energy belongs to which entry?
Answer: Dy2GaCo2


Question: Which of these has the lowest total energy?
Answer: Dy2GaCo2